Density functional theory data (PBE) for a relaxed TiAg8S6 crystal.

Results
* VASP energy: -238.3 eV per cell
* calculated formation energy: -7.21 eV per formula unit
* theoretical density: 5.9 Mg/m³

Geometry as POSCAR:
```
TiAg8S6
1.0
15.350 0.000 0.000
0.000 7.572 0.000
0.000 0.000 10.738
Ti Ag S
4 32 24
direct
0.127 0.243 0.000 Ti
0.373 0.743 0.500 Ti
0.627 0.257 0.000 Ti
0.873 0.757 0.500 Ti
0.019 0.503 0.243 Ag
0.051 0.721 0.011 Ag
0.080 0.061 0.330 Ag
0.083 0.105 0.678 Ag
0.123 0.727 0.478 Ag
0.227 0.378 0.675 Ag
0.229 0.506 0.284 Ag
0.235 0.049 0.501 Ag
0.265 0.549 0.001 Ag
0.271 0.006 0.784 Ag
0.273 0.878 0.175 Ag
0.377 0.227 0.978 Ag
0.417 0.605 0.178 Ag
0.420 0.561 0.830 Ag
0.449 0.221 0.511 Ag
0.481 0.003 0.743 Ag
0.519 0.997 0.243 Ag
0.551 0.779 0.011 Ag
0.580 0.439 0.330 Ag
0.583 0.395 0.678 Ag
0.623 0.773 0.478 Ag
0.727 0.122 0.675 Ag
0.729 0.994 0.284 Ag
0.735 0.451 0.501 Ag
0.765 0.951 0.001 Ag
0.771 0.494 0.784 Ag
0.773 0.622 0.175 Ag
0.877 0.273 0.978 Ag
0.917 0.895 0.178 Ag
0.920 0.939 0.830 Ag
0.949 0.279 0.511 Ag
0.981 0.497 0.743 Ag
0.006 0.222 0.125 S
0.121 0.293 0.490 S
0.121 0.761 0.241 S
0.122 0.986 0.889 S
0.128 0.486 0.870 S
0.247 0.237 0.129 S
0.253 0.737 0.629 S
0.372 0.986 0.370 S
0.378 0.486 0.389 S
0.379 0.261 0.741 S
0.379 0.793 0.990 S
0.494 0.722 0.625 S
0.506 0.278 0.125 S
0.621 0.207 0.490 S
0.621 0.739 0.241 S
0.622 0.514 0.889 S
0.628 0.014 0.870 S
0.747 0.263 0.129 S
0.753 0.763 0.629 S
0.872 0.514 0.370 S
0.878 0.014 0.389 S
0.879 0.239 0.741 S
0.879 0.707 0.990 S
0.994 0.778 0.625 S
```

Density functional theory data (PBE) for a relaxed TlAg3S2 crystal.

Results
* VASP energy: -79.5 eV per cell
* calculated formation energy: -1.75 eV per formula unit
* theoretical density: 7.1 Mg/m³

Geometry as POSCAR:
```
TlAg3S2
1.0
8.871 0.000 0.000
0.000 8.956 0.000
0.000 0.000 6.949
Tl Ag S
4 12 8
direct
0.000 0.100 0.250 Tl
0.000 0.900 0.750 Tl
0.500 0.400 0.750 Tl
0.500 0.600 0.250 Tl
0.000 0.339 0.750 Ag
0.000 0.661 0.250 Ag
0.194 0.403 0.113 Ag
0.194 0.597 0.613 Ag
0.306 0.097 0.613 Ag
0.306 0.903 0.113 Ag
0.500 0.161 0.250 Ag
0.500 0.839 0.750 Ag
0.694 0.097 0.887 Ag
0.694 0.903 0.387 Ag
0.806 0.403 0.387 Ag
0.806 0.597 0.887 Ag
0.180 0.331 0.488 S
0.180 0.669 0.988 S
0.320 0.169 0.988 S
0.320 0.831 0.488 S
0.680 0.169 0.512 S
0.680 0.831 0.012 S
0.820 0.331 0.012 S
0.820 0.669 0.512 S
```

Density functional theory data (PBE) for a relaxed TmAgS2 crystal.

Results
* VASP energy: -20.7 eV per cell
* calculated formation energy: -6.13 eV per formula unit
* theoretical density: 6.7 Mg/m³

Geometry as POSCAR:
```
TmAgS2
1.0
1.988 1.148 6.186
-1.988 1.148 6.186
0.000 -2.296 6.186
Tm Ag S
1 1 2
direct
0.000 0.000 0.000 Tm
0.500 0.500 0.500 Ag
0.255 0.255 0.255 S
0.745 0.745 0.745 S
```

Density functional theory data (PBE) for a relaxed TmAgS2 crystal.

Results
* VASP energy: -166.5 eV per cell
* calculated formation energy: -6.24 eV per formula unit
* theoretical density: 6.4 Mg/m³

Geometry as POSCAR:
```
TmAgS2
1.0
7.587 0.000 0.000
0.000 7.589 0.000
-0.005 0.000 12.334
Tm Ag S
8 8 16
direct
0.000 0.000 0.246 Tm
0.000 0.500 0.754 Tm
0.247 0.754 0.502 Tm
0.253 0.253 0.004 Tm
0.499 0.007 0.745 Tm
0.501 0.507 0.255 Tm
0.747 0.753 0.996 Tm
0.753 0.254 0.498 Tm
0.001 0.502 0.283 Ag
0.246 0.753 0.019 Ag
0.252 0.254 0.522 Ag
0.497 0.005 0.203 Ag
0.503 0.505 0.797 Ag
0.748 0.754 0.478 Ag
0.754 0.253 0.981 Ag
0.999 0.002 0.717 Ag
0.015 0.989 0.025 S
0.019 0.486 0.534 S
0.232 0.736 0.283 S
0.233 0.771 0.724 S
0.267 0.237 0.225 S
0.270 0.274 0.784 S
0.481 0.523 0.034 S
0.483 0.021 0.525 S
0.517 0.521 0.475 S
0.519 0.023 0.966 S
0.730 0.774 0.216 S
0.733 0.737 0.775 S
0.767 0.271 0.276 S
0.768 0.236 0.717 S
0.981 0.986 0.466 S
0.985 0.489 0.975 S
```

Density functional theory data (PBE) for a relaxed TmAgS2 crystal.

Results
* VASP energy: -41.6 eV per cell
* calculated formation energy: -6.21 eV per formula unit
* theoretical density: 6.5 Mg/m³

Geometry as POSCAR:
```
TmAgS2
1.0
-2.690 2.690 5.992
2.690 -2.690 5.992
2.690 2.690 -5.992
Tm Ag S
2 2 4
direct
0.000 0.000 0.000 Tm
0.750 0.250 0.500 Tm
0.215 0.715 0.500 Ag
0.465 0.465 0.000 Ag
0.229 0.229 0.000 S
0.525 0.025 0.500 S
0.775 0.775 0.000 S
0.979 0.479 0.500 S
```

Density functional theory data (PBE) for a relaxed Ag2WS4 crystal.

Results
* VASP energy: -146.6 eV per cell
* calculated formation energy: -3.49 eV per formula unit
* theoretical density: 5.0 Mg/m³

Geometry as POSCAR:
```
Ag2WS4
1.0
7.384 0.000 0.000
0.000 7.852 0.000
0.000 0.000 12.059
Ag W S
8 4 16
direct
0.093 0.250 0.046 Ag
0.136 0.750 0.371 Ag
0.364 0.250 0.871 Ag
0.407 0.750 0.546 Ag
0.593 0.250 0.454 Ag
0.636 0.750 0.129 Ag
0.864 0.250 0.629 Ag
0.907 0.750 0.954 Ag
0.185 0.250 0.455 W
0.315 0.750 0.955 W
0.685 0.250 0.045 W
0.815 0.750 0.545 W
0.086 0.750 0.621 S
0.162 0.526 0.890 S
0.162 0.974 0.890 S
0.197 0.250 0.640 S
0.303 0.750 0.140 S
0.338 0.026 0.390 S
0.338 0.474 0.390 S
0.414 0.250 0.121 S
0.586 0.750 0.879 S
0.662 0.526 0.610 S
0.662 0.974 0.610 S
0.697 0.250 0.860 S
0.803 0.750 0.360 S
0.838 0.026 0.110 S
0.838 0.474 0.110 S
0.914 0.250 0.379 S
```

Density functional theory data (PBE) for a relaxed Ag3Sb crystal.

Results
* VASP energy: -25.1 eV per cell
* calculated formation energy: -0.09 eV per formula unit
* theoretical density: 9.2 Mg/m³

Geometry as POSCAR:
```
Ag3Sb
1.0
4.948 0.000 0.000
0.000 6.085 0.000
0.000 0.000 5.318
Ag Sb
6 2
direct
0.250 0.002 0.156 Ag
0.250 0.250 0.670 Ag
0.250 0.498 0.156 Ag
0.750 0.502 0.844 Ag
0.750 0.750 0.330 Ag
0.750 0.998 0.844 Ag
0.250 0.750 0.669 Sb
0.750 0.250 0.331 Sb
```

Density functional theory data (PBE) for a relaxed Ag3Sb crystal.

Results
* VASP energy: -12.2 eV per cell
* calculated formation energy: 0.25 eV per formula unit
* theoretical density: 9.0 Mg/m³

Geometry as POSCAR:
```
Ag3Sb
1.0
3.143 0.000 0.000
-1.572 2.722 0.000
0.000 0.000 9.616
Ag Sb
3 1
direct
0.000 0.000 0.000 Ag
0.333 0.667 0.236 Ag
0.333 0.667 0.764 Ag
0.000 0.000 0.500 Sb
```

Density functional theory data (PBE) for a relaxed Ag3Sb crystal.

Results
* VASP energy: -12.3 eV per cell
* calculated formation energy: 0.11 eV per formula unit
* theoretical density: 9.1 Mg/m³

Geometry as POSCAR:
```
Ag3Sb
1.0
3.259 0.000 0.000
0.000 4.814 0.000
0.000 0.000 5.168
Ag Sb
3 1
direct
0.000 0.000 0.000 Ag
0.000 0.500 0.334 Ag
0.500 0.500 0.852 Ag
0.500 0.000 0.505 Sb
```